No. 1
HoInCu: optimized geometry, r2SCAN.

Properties
Crystal system: hexagonal
Raw total energy (eV for the cell shown): -203.429

Cell: 7.396 7.396 3.907 Å, 90.00 90.00 120.00°
Sites, in units of the cell vectors:
Ho 0.000 0.590 0.500
Ho 0.410 0.410 0.500
Ho 0.590 0.000 0.500
In 0.745 0.745 0.000
In 0.000 0.255 0.000
In 0.255 0.000 0.000
Cu 0.333 0.667 0.000
Cu 0.000 0.000 0.500
Cu 0.667 0.333 0.000

=====

No. 2
HoInCu2: optimized geometry, r2SCAN.

Properties
Crystal system: cubic
Raw total energy (eV for the cell shown): -78.659

Cell: 4.634 4.634 4.634 Å, 60.00 60.00 60.00°
Sites, in units of the cell vectors:
Ho 0.500 0.500 0.500
In 0.000 0.000 0.000
Cu 0.250 0.250 0.250
Cu 0.750 0.750 0.750

=====

No. 3
KHo2CuS4: optimized geometry, r2SCAN.

Properties
Crystal system: orthorhombic
Raw total energy (eV for the cell shown): -260.167

Cell: 6.977 6.977 13.620 Å, 90.00 90.00 147.32°
Sites, in units of the cell vectors:
K 0.110 0.890 0.250
K 0.890 0.110 0.750
Ho 0.634 0.366 0.937
Ho 0.366 0.634 0.437
Ho 0.634 0.366 0.563
Ho 0.366 0.634 0.063
Cu 0.163 0.837 0.750
Cu 0.837 0.163 0.250
S 0.000 0.000 0.500
S 0.000 0.000 0.000
S 0.737 0.263 0.111
S 0.263 0.737 0.889
S 0.569 0.431 0.750
S 0.737 0.263 0.389
S 0.431 0.569 0.250
S 0.263 0.737 0.611

=====

No. 4
HoCu4Pd: optimized geometry, r2SCAN.

Properties
Crystal system: cubic
Raw total energy (eV for the cell shown): -101.499

Cell: 4.932 4.932 4.932 Å, 60.00 60.00 60.00°
Sites, in units of the cell vectors:
Ho 0.750 0.750 0.750
Cu 0.374 0.374 0.374
Cu 0.877 0.374 0.374
Cu 0.374 0.877 0.374
Cu 0.374 0.374 0.877
Pd 0.000 0.000 0.000

=====

No. 5
Ho2CuPd: optimized geometry, r2SCAN.

Properties
Crystal system: cubic
Raw total energy (eV for the cell shown): -101.979

Cell: 4.876 4.876 4.876 Å, 59.98 59.98 59.98°
Sites, in units of the cell vectors:
Ho 0.000 0.000 0.000
Ho 0.500 0.500 0.500
Cu 0.250 0.250 0.250
Pd 0.750 0.750 0.750

=====

No. 6
PmHoCu2: optimized geometry, r2SCAN.

Properties
Crystal system: cubic
Raw total energy (eV for the cell shown): -84.959

Cell: 4.925 4.925 4.925 Å, 60.00 60.00 60.00°
Sites, in units of the cell vectors:
Pm 0.000 0.000 0.000
Ho 0.500 0.500 0.500
Cu 0.750 0.750 0.750
Cu 0.250 0.250 0.250

=====

No. 7
Ho2CuPt: optimized geometry, r2SCAN.

Properties
Crystal system: cubic
Raw total energy (eV for the cell shown): -131.481

Cell: 4.862 4.862 4.862 Å, 60.00 60.00 60.00°
Sites, in units of the cell vectors:
Ho 0.250 0.250 0.250
Ho 0.750 0.750 0.750
Cu 0.500 0.500 0.500
Pt 0.000 0.000 0.000

=====

No. 8
Ho2CuRh: optimized geometry, r2SCAN.

Properties
Crystal system: cubic
Raw total energy (eV for the cell shown): -103.204

Cell: 4.818 4.818 4.818 Å, 60.00 60.00 60.00°
Sites, in units of the cell vectors:
Ho 0.000 0.000 0.000
Ho 0.500 0.500 0.500
Cu 0.250 0.250 0.250
Rh 0.750 0.750 0.750

=====

Number 1: energy relative to the elements -1.50 eV/f.u.. Number 2: energy relative to the elements -1.51 eV/f.u.. Number 3: energy relative to the elements -15.32 eV/f.u.. Number 4: energy relative to the elements -2.27 eV/f.u.. Number 5: energy relative to the elements -2.41 eV/f.u.. Number 6: energy relative to the elements -0.84 eV/f.u.. Number 7: energy relative to the elements -3.38 eV/f.u.. Number 8: energy relative to the elements -2.46 eV/f.u..